(1)
VASP calculation (PBE) on crystalline LiCu5P2O8 at its relaxed geometry.

As for the MP2020-corrected energy: -6.186 eV/atom. For the formation energy, the calculation gives -1636 meV/atom. The energy above the lowest structure with this stoichiometry is 4 meV/atom. The symmetry is P1, No. 1.

Cell lengths 5.6048, 6.2486, 10.3230 Å; angles 90.97, 90.35, 91.17 degrees
Atoms (fractional coordinates):
Li 0.8562 0.9981 0.2506
Li 0.6791 0.2460 0.4929
Cu 0.7464 0.0083 0.7488
Cu 0.6408 0.2799 0.9990
Cu 0.3433 0.2980 0.2363
Cu 0.3672 0.2346 0.7576
Cu 0.2593 0.5007 0.9870
Cu 0.2576 0.5074 0.4781
Cu 0.3543 0.7531 0.7410
Cu 0.3515 0.7017 0.2304
Cu 0.6491 0.7558 0.4984
Cu 0.6426 0.7174 0.0020
P 0.1386 0.9947 0.0064
P 0.1625 0.0095 0.5017
P 0.8185 0.4967 0.2582
P 0.8407 0.4991 0.7463
O 0.1524 0.0026 0.6517
O 0.9075 0.0129 0.4422
O 0.1616 0.9971 0.1564
O 0.8750 0.9904 0.9608
O 0.3180 0.2056 0.4562
O 0.2699 0.1962 0.9498
O 0.6934 0.2825 0.2075
O 0.6991 0.3024 0.6836
O 0.8382 0.4915 0.8962
O 0.0992 0.5022 0.6958
O 0.8223 0.4981 0.4078
O 0.0721 0.4955 0.1999
O 0.7063 0.7018 0.6995
O 0.7028 0.7075 0.2080
O 0.2976 0.8106 0.4452
O 0.2768 0.8020 0.9470



(2)
VASP calculation (PBE) on crystalline Li2CuPO4 at its relaxed geometry.

As for the MP2020-corrected energy: -6.435 eV/atom. For the formation energy, the calculation gives -2294 meV/atom. The energy above the lowest structure with this stoichiometry is 13 meV/atom. The symmetry is P1, No. 1. The largest piezoelectric modulus comes out at 0.6 C/m2.

Cell lengths 5.0679, 5.3583, 6.2381 Å; angles 90.37, 90.00, 90.33 degrees
Atoms (fractional coordinates):
Li 0.4918 0.1552 0.0006
Li 0.9970 0.3281 0.7517
Li 0.4913 0.6729 0.7460
Li 0.4901 0.6749 0.2541
Cu 0.9989 0.8207 0.4987
Cu 0.0045 0.3319 0.2500
P 0.9974 0.8273 0.9949
P 0.4976 0.1785 0.5053
O 0.8927 0.0997 0.9864
O 0.3049 0.8204 0.9998
O 0.8896 0.6791 0.7964
O 0.3869 0.3130 0.7078
O 0.8043 0.1890 0.5129
O 0.4083 0.8985 0.5016
O 0.4080 0.3121 0.2942
O 0.8794 0.6988 0.1994



(3)
VASP calculation (PBE) on crystalline LiCu3P3O11 at its relaxed geometry.

As for the MP2020-corrected energy: -6.757 eV/atom. For the formation energy, the calculation gives -2041 meV/atom. The symmetry is P2_1/c, No. 14.

Cell lengths 9.0908, 8.4852, 10.8085 Å; angles 84.22, 90.00, 90.00 degrees
Atoms (fractional coordinates):
Li 0.7636 0.9368 0.4789
Li 0.7364 0.9368 0.9789
Li 0.2636 0.0632 0.0211
Li 0.2364 0.0632 0.5211
Cu 0.3393 0.9625 0.7558
Cu 0.1607 0.9625 0.2558
Cu 0.3661 0.5486 0.9288
Cu 0.3811 0.5639 0.6472
Cu 0.1339 0.5486 0.4288
Cu 0.8811 0.4361 0.8528
Cu 0.1189 0.5639 0.1472
Cu 0.8661 0.4514 0.5712
Cu 0.6189 0.4361 0.3528
Cu 0.6339 0.4514 0.0712
Cu 0.8393 0.0375 0.7442
Cu 0.6607 0.0375 0.2442
P 0.0666 0.8002 0.8944
P 0.0532 0.7988 0.6330
P 0.4334 0.8002 0.3944
P 0.6697 0.6504 0.8021
P 0.4468 0.7988 0.1330
P 0.8303 0.6504 0.3021
P 0.1697 0.3496 0.6979
P 0.5532 0.2012 0.8670
P 0.3303 0.3496 0.1979
P 0.5666 0.1998 0.6056
P 0.9468 0.2012 0.3670
P 0.9334 0.1998 0.1056
O 0.9680 0.9478 0.8833
O 0.9327 0.9261 0.6122
O 0.5320 0.9478 0.3833
O 0.7011 0.8242 0.7976
O 0.2328 0.8352 0.8872
O 0.5673 0.9261 0.1122
O 0.7989 0.8242 0.2976
O 0.2114 0.8625 0.6307
O 0.2672 0.8352 0.3872
O 0.4996 0.6257 0.7875
O 0.0300 0.7083 0.7715
O 0.2886 0.8625 0.1307
O 0.4720 0.6810 0.5045
O 0.7333 0.5646 0.9311
O 0.0264 0.6735 0.5430
O 0.0004 0.6257 0.2875
O 0.4700 0.7083 0.2715
O 0.7564 0.5504 0.7117
O 0.0280 0.6810 0.0045
O 0.7667 0.5646 0.4311
O 0.4736 0.6735 0.0430
O 0.7436 0.5504 0.2117
O 0.2564 0.4496 0.7883
O 0.5264 0.3265 0.9570
O 0.2333 0.4354 0.5689
O 0.9720 0.3190 0.9955
O 0.2436 0.4496 0.2883
O 0.5300 0.2917 0.7285
O 0.9996 0.3743 0.7125
O 0.9736 0.3265 0.4570
O 0.2667 0.4354 0.0689
O 0.5280 0.3190 0.4955
O 0.7114 0.1375 0.8693
O 0.9700 0.2917 0.2285
O 0.5004 0.3743 0.2125
O 0.7328 0.1648 0.6128
O 0.7886 0.1375 0.3693
O 0.2011 0.1758 0.7024
O 0.4327 0.0739 0.8878
O 0.7672 0.1648 0.1128
O 0.2989 0.1758 0.2024
O 0.4680 0.0522 0.6167
O 0.0673 0.0739 0.3878
O 0.0320 0.0522 0.1167



The ρ results, record by record, are as follows: 4.729 3.380 3.735 g cm⁻³.